Compound: Li2TiVO4
Source: the Materials Project database
Functional: GGA+U
Structure: relaxed

Corrected total energy (MP2020 scheme), eV/atom: -7.82
DFT formation energy, eV/atom: -2.742
Total magnetic moment, μB per cell: 0.498
Polymorph energy (0 for the lowest one), eV per atom: 0.010

a b c (Å): 5.192 7.813 7.814
angles (deg): 72.49 104.06 91.88
Element x y z (fractional)
1 V 0.749 0.499 0.252
2 O 0.309 0.876 0.937
3 Li 0.815 0.373 0.939
4 V 0.500 0.004 0.499
5 O 0.972 0.510 0.498
6 Li 0.061 0.878 0.687
7 Li 0.558 0.876 0.189
8 O 0.939 0.625 0.812
9 O 0.652 0.248 0.366
10 O 0.812 0.878 0.438
11 Li 0.624 0.752 0.874
12 O 0.893 0.733 0.125
13 Ti 0.683 0.627 0.566
14 Ti 0.439 0.125 0.812
15 O 0.730 0.008 0.754
16 Li 0.878 0.249 0.627
17 O 0.396 0.743 0.619
18 O 0.484 0.509 0.011
19 O 0.056 0.376 0.188
20 V 0.250 0.501 0.749
21 Ti 0.186 0.628 0.059
22 O 0.151 0.239 0.870
23 O 0.233 0.008 0.253
24 V 0.996 0.997 0.002
25 O 0.442 0.623 0.312
26 Ti 0.944 0.119 0.312
27 O 0.190 0.124 0.561
28 Li 0.376 0.249 0.123
29 Li 0.310 0.376 0.436
30 Li 0.126 0.749 0.376
31 O 0.560 0.376 0.689
32 O 0.690 0.123 0.063


Compound: NaCo2H3Se2O10
Source: the Materials Project database
Functional: GGA+U
Structure: relaxed

Corrected total energy (MP2020 scheme), eV/atom: -5.38
DFT formation energy, eV/atom: -0.815
Total magnetic moment, μB per cell: 6.000
Polymorph energy (0 for the lowest one), eV per atom: 0.560

a b c (Å): 7.411 7.411 8.710
angles (deg): 77.62 77.62 48.95
Element x y z (fractional)
1 Se 0.113 0.113 0.324
2 O 0.204 0.204 0.949
3 O 0.808 0.808 0.048
4 Na 0.479 0.479 0.474
5 O 0.337 0.337 0.150
6 H 0.023 0.023 0.965
7 O 0.621 0.621 0.736
8 H 0.979 0.979 0.037
9 O 0.268 0.822 0.305
10 Se 0.875 0.875 0.735
11 O 0.160 0.724 0.665
12 O 0.822 0.268 0.305
13 O 0.724 0.160 0.665
14 Co 0.451 0.045 0.068
15 O 0.702 0.702 0.030
16 Co 0.045 0.451 0.068
17 H 0.408 0.408 0.091
18 O 0.543 0.543 0.845


Compound: MnNbO4
Source: the Materials Project database
Functional: GGA+U
Structure: relaxed

Corrected total energy (MP2020 scheme), eV/atom: -9.07
DFT formation energy, eV/atom: -2.557
Total magnetic moment, μB per cell: 0.000

a b c (Å): 3.877 3.877 10.357
angles (deg): 90.00 90.00 90.00
Element x y z (fractional)
1 O 0.500 0.500 0.300
2 O 0.000 0.500 0.464
3 Nb 0.500 0.500 0.500
4 O 0.500 0.500 0.700
5 Nb 0.000 0.000 0.000
6 O 0.500 0.000 0.963
7 O 0.500 0.000 0.537
8 O 0.000 0.000 0.200
9 O 0.000 0.000 0.800
10 O 0.000 0.500 0.036
11 Mn 0.000 0.500 0.250
12 Mn 0.500 0.000 0.750


Compound: Sr2La2MnCuO8
Source: the Materials Project database
Functional: GGA+U
Structure: relaxed

Corrected total energy (MP2020 scheme), eV/atom: -7.58
DFT formation energy, eV/atom: -2.861
Total magnetic moment, μB per cell: 6.902
Polymorph energy (0 for the lowest one), eV per atom: 0.000

a b c (Å): 3.878 15.423 6.994
angles (deg): 106.36 106.19 89.96
Element x y z (fractional)
1 O 0.183 0.035 0.366
2 Sr 0.641 0.410 0.284
3 Sr 0.359 0.340 0.716
4 O 0.844 0.203 0.684
5 Mn 0.997 0.500 0.996
6 La 0.635 0.661 0.273
7 O 0.501 0.997 0.994
8 O 0.500 0.247 0.995
9 O 0.817 0.715 0.634
10 O 0.840 0.462 0.684
11 La 0.365 0.089 0.727
12 O 0.000 0.875 0.000
13 La 0.351 0.837 0.718
14 Sr 0.353 0.590 0.712
15 O 0.500 0.503 0.005
16 Mn 0.003 0.250 0.004
17 O 0.168 0.796 0.359
18 O 0.000 0.375 0.000
19 O 0.832 0.954 0.641
20 Sr 0.647 0.160 0.288
21 O 0.499 0.753 0.006
22 Cu 0.999 0.750 0.999
23 Cu 0.001 0.000 0.001
24 O 0.000 0.123 0.997
25 O 0.160 0.288 0.316
26 O 0.000 0.627 0.003
27 O 0.156 0.547 0.316
28 La 0.649 0.913 0.282


Which value of total magnetic moment does entry 1 give? 0.498 μB per cell